1.
Crystalline USb2O6 at its relaxed geometry. Source: the Materials Project, functional meta-GGA r2SCAN.

Cell lengths 7.0605, 7.0605, 5.1706 Å; angles 103.65, 103.65, 32.69 degrees
Closest atoms and distances in Å follow each position.
Fractional coordinates of all 9 atoms:
U 0.0000 0.0000 0.0000  2 O 1.83
Sb 0.3084 0.3084 0.2595  4 O 1.97-2.15
Sb 0.6916 0.6916 0.7405  4 O 1.97-2.15
O 0.0853 0.0853 0.3348  1 U 1.83
O 0.1965 0.1965 0.9043  3 Sb 2.07-2.15
O 0.4320 0.4320 0.1245  1 Sb 1.97
O 0.5680 0.5680 0.8755  1 Sb 1.97
O 0.8035 0.8035 0.0957  3 Sb 2.07-2.15
O 0.9148 0.9148 0.6652  1 U 1.83

Calculated values
* size of the total moment: 0.000 Bohr magnetons per cell
* SG: C2/m
* calculated formation energy: -2.294 eV per atom
* VASP energy: -187.84 eV per cell


2.
Crystalline BaLi2Si at its relaxed geometry. Source: the Materials Project, functional meta-GGA r2SCAN.

Cell lengths 4.6621, 6.6879, 6.3474 Å; angles 90.00, 90.00, 90.00 degrees
Closest atoms and distances in Å follow each position.
Fractional coordinates of all 8 atoms:
Ba 0.2500 0.2500 0.0939  8 Li 3.41-3.68, 4 Si 3.46-3.61
Ba 0.7500 0.7500 0.9061  8 Li 3.41-3.68, 4 Si 3.46-3.61
Li 0.2500 0.0485 0.5870  3 Li 2.66-2.69, 3 Si 2.67-2.77
Li 0.2500 0.4515 0.5870  3 Li 2.66-2.69, 3 Si 2.67-2.77
Li 0.7500 0.5485 0.4130  3 Li 2.66-2.69, 3 Si 2.67-2.77
Li 0.7500 0.9515 0.4130  3 Li 2.66-2.69, 3 Si 2.67-2.77
Si 0.2500 0.7500 0.3088  6 Li 2.67-2.77
Si 0.7500 0.2500 0.6912  6 Li 2.67-2.77

Calculated values
* size of the total moment: 0.000 Bohr magnetons per cell
* SG: Pmmn
* calculated formation energy: -0.318 eV per atom
* VASP energy: -82.64 eV per cell


3.
Crystalline UB2Os3 at its relaxed geometry. Source: the Materials Project, functional meta-GGA r2SCAN.

Cell lengths 5.5332, 5.5332, 2.9905 Å; angles 90.00, 90.00, 120.00 degrees
Closest atoms and distances in Å follow each position.
Fractional coordinates of all 6 atoms:
U 0.0000 0.0000 0.0000  2 U 2.99, 12 Os 3.14, 6 B 3.19
B 0.3333 0.6667 0.0000  6 Os 2.19
B 0.6667 0.3333 0.0000  6 Os 2.19
Os 0.0000 0.5000 0.5000  4 B 2.19
Os 0.5000 0.0000 0.5000  4 B 2.19
Os 0.5000 0.5000 0.5000  4 B 2.19

Calculated values
* size of the total moment: 1.104 Bohr magnetons per cell
* SG: P6/mmm
* calculated formation energy: -0.428 eV per atom
* VASP energy: -256.16 eV per cell


4.
Crystalline HoGa2 at its relaxed geometry. Source: the Materials Project, functional meta-GGA r2SCAN.

Cell lengths 4.1561, 4.1561, 4.0917 Å; angles 90.00, 90.00, 120.00 degrees
Closest atoms and distances in Å follow each position.
Fractional coordinates of all 3 atoms:
Ho 0.0000 0.0000 0.0000  12 Ga 3.15
Ga 0.3333 0.6667 0.5000  3 Ga 2.40
Ga 0.6667 0.3333 0.5000  3 Ga 2.40

Calculated values
* size of the total moment: 0.000 Bohr magnetons per cell
* SG: P6/mmm
* calculated formation energy: -0.747 eV per atom
* VASP energy: -58.01 eV per cell


5.
Crystalline MgZnNi2 at its relaxed geometry. Source: the Materials Project, functional meta-GGA r2SCAN.

Cell lengths 4.1248, 4.1248, 4.1248 Å; angles 60.00, 60.00, 60.00 degrees
Closest atoms and distances in Å follow each position.
Fractional coordinates of all 4 atoms:
Mg 0.0000 0.0000 0.0000  8 Ni 2.53
Zn 0.5000 0.5000 0.5000  8 Ni 2.53
Ni 0.2500 0.2500 0.2500  4 Zn 2.53, 4 Mg 2.53
Ni 0.7500 0.7500 0.7500  4 Zn 2.53, 4 Mg 2.53

Calculated values
* size of the total moment: 0.000 Bohr magnetons per cell
* SG: Fm-3m
* calculated formation energy: -0.160 eV per atom
* VASP energy: -37.68 eV per cell


6.
Crystalline Ca2GeN2 at its relaxed geometry. Source: the Materials Project, functional meta-GGA r2SCAN.

Cell lengths 11.1796, 11.1796, 5.0296 Å; angles 90.00, 90.00, 90.00 degrees
Closest atoms and distances in Å follow each position.
Fractional coordinates of all 40 atoms:
Ca 0.0209 0.3499 0.0000  5 N 2.39-2.59
Ca 0.0753 0.1327 0.5000  5 N 2.41-2.58
Ca 0.1327 0.9247 0.0000  5 N 2.41-2.58
Ca 0.1501 0.4791 0.5000  5 N 2.39-2.59
Ca 0.3499 0.9791 0.5000  5 N 2.39-2.59
Ca 0.3673 0.4247 0.0000  5 N 2.41-2.58
Ca 0.4247 0.6327 0.5000  5 N 2.41-2.58
Ca 0.4791 0.8499 0.0000  5 N 2.39-2.59
Ca 0.5209 0.1501 0.0000  5 N 2.39-2.59
Ca 0.5753 0.3673 0.5000  5 N 2.41-2.58
Ca 0.6327 0.5753 0.0000  5 N 2.41-2.58
Ca 0.6501 0.0209 0.5000  5 N 2.39-2.59
Ca 0.8499 0.5209 0.5000  5 N 2.39-2.59
Ca 0.8673 0.0753 0.0000  5 N 2.41-2.58
Ca 0.9247 0.8673 0.5000  5 N 2.41-2.58
Ca 0.9791 0.6501 0.0000  5 N 2.39-2.59
Ge 0.1560 0.7454 0.5000  2 N 1.86-1.88
Ge 0.2454 0.6560 0.0000  2 N 1.86-1.88
Ge 0.2546 0.1560 0.0000  2 N 1.86-1.88
Ge 0.3440 0.2454 0.5000  2 N 1.86-1.88
Ge 0.6560 0.7546 0.5000  2 N 1.86-1.88
Ge 0.7454 0.8440 0.0000  2 N 1.86-1.88
Ge 0.7546 0.3440 0.0000  2 N 1.86-1.88
Ge 0.8440 0.2546 0.5000  2 N 1.86-1.88
N 0.0095 0.6635 0.5000  1 Ge 1.88
N 0.0897 0.1360 0.0000  1 Ge 1.86
N 0.1360 0.9103 0.5000  1 Ge 1.86
N 0.1635 0.5095 0.0000  1 Ge 1.88
N 0.3365 0.0095 0.0000  1 Ge 1.88
N 0.3640 0.4103 0.5000  1 Ge 1.86
N 0.4103 0.6360 0.0000  1 Ge 1.86
N 0.4905 0.1635 0.5000  1 Ge 1.88
N 0.5095 0.8365 0.5000  1 Ge 1.88
N 0.5897 0.3640 0.0000  1 Ge 1.86
N 0.6360 0.5897 0.5000  1 Ge 1.86
N 0.6635 0.9905 0.0000  1 Ge 1.88
N 0.8365 0.4905 0.0000  1 Ge 1.88
N 0.8640 0.0897 0.5000  1 Ge 1.86
N 0.9103 0.8640 0.0000  1 Ge 1.86
N 0.9905 0.3365 0.5000  1 Ge 1.88

Calculated values
* size of the total moment: 0.000 Bohr magnetons per cell
* SG: P4_2/mbc
* calculated formation energy: -0.981 eV per atom
* VASP energy: -408.90 eV per cell


> What is the formula in the fourth record?

HoGa2


> Which of these has the lowest VASP energy?

Ca2GeN2